The following is a DFT calculation (PBE) of AlAsO4 after structural relaxation.

```
AlAsO4
1.0
-0.0125 -1.9368 4.9151
3.2283 3.8001 1.7455
-4.4999 1.1515 -2.5168
O As Al
4 1 1
direct
0.7477 0.1319 0.1303 O
0.0016 0.6174 0.8697 O
0.8681 0.9984 0.6158 O
0.3826 0.2523 0.3842 O
0.7500 0.2500 0.5000 As
0.0000 0.0000 0.0000 Al
```

Computed properties:
* energy of formation from the pure elements: -2.4448 eV/atom
* largest piezoelectric modulus: 0.3 C/m2
* energy with MP2020 corrections: -7.14 eV per atom